a:
A geometry-optimized LiFe2B2O6 structure, computed with PBE with a Hubbard U.

```
LiFe2B2O6
1.0
5.2848 0.0000 0.0000
-0.0255 9.0793 0.0000
-2.4459 -4.5097 10.1341
Li Fe B O
4 8 8 24
Direct
0.0000 0.0000 0.0000
0.0628 0.3926 0.7429
0.3258 0.6182 0.2514
0.5625 0.8872 0.7436
0.0415 0.7043 0.7069
0.2322 0.9077 0.4616
0.2945 0.2672 0.2194
0.4881 0.8171 0.9678
0.5466 0.2045 0.7176
0.7412 0.3997 0.4534
0.7975 0.7790 0.2162
0.9936 0.3337 0.9729
0.0325 0.0379 0.7134
0.2418 0.5672 0.4611
0.2814 0.9378 0.2081
0.4821 0.1447 0.9552
0.5457 0.5301 0.7128
0.7456 0.0745 0.4699
0.7950 0.4516 0.2180
0.9909 0.6600 0.9552
0.0181 0.5684 0.5056
0.0353 0.4296 0.1811
0.0897 0.5178 0.9361
0.1087 0.7761 0.9240
0.1373 0.0550 0.1939
0.2076 0.8367 0.2659
0.2572 0.1722 0.0000
0.2735 0.0208 0.6749
0.3323 0.7022 0.4497
0.3738 0.4301 0.4288
0.4151 0.4002 0.7164
0.4479 0.6824 0.7561
0.5049 0.9031 0.1595
0.5206 0.0745 0.5184
0.5927 0.2468 0.9102
0.6059 0.0050 0.9450
0.6594 0.5773 0.2147
0.6945 0.3407 0.2586
0.7726 0.7018 0.0057
0.7755 0.5119 0.6703
0.8448 0.2094 0.4664
0.8657 0.9326 0.4300
0.9072 0.9127 0.7212
0.9305 0.1873 0.7435
```

- calculated volume (Å³ per cell) = 486.3



b:
A geometry-optimized LiFe2B2O6 structure, computed with PBE with a Hubbard U.

```
LiFe2B2O6
1.0
5.2896 0.0000 0.0000
0.0306 9.0561 0.0000
2.5121 4.4615 10.1956
Li Fe B O
4 8 8 24
Direct
0.0000 0.0000 0.0000
0.0737 0.3820 0.2210
0.2674 0.2368 0.4796
0.8202 0.1145 0.7407
0.0232 0.3480 0.9667
0.0782 0.7191 0.2195
0.2883 0.8973 0.4680
0.3330 0.3008 0.7153
0.5172 0.8234 0.9668
0.5765 0.2016 0.2183
0.7660 0.4247 0.4607
0.8313 0.7946 0.7035
0.0262 0.6832 0.9613
0.0778 0.0571 0.2125
0.2788 0.5752 0.4675
0.3212 0.9625 0.7133
0.5294 0.1572 0.9651
0.5795 0.5368 0.2082
0.7861 0.0885 0.4645
0.8271 0.4547 0.7173
0.0482 0.4100 0.7655
0.0668 0.5873 0.4139
0.1152 0.5366 0.9949
0.1414 0.8057 0.9854
0.2040 0.8528 0.6817
0.2103 0.1059 0.7020
0.2932 0.0438 0.2660
0.3011 0.1917 0.9204
0.3638 0.4154 0.5214
0.4148 0.6978 0.4701
0.4417 0.3961 0.2260
0.4751 0.6833 0.1527
0.5503 0.1027 0.4245
0.5572 0.9340 0.7532
0.6305 0.2459 0.0221
0.6656 0.0321 0.9467
0.7091 0.3399 0.6852
0.7298 0.5951 0.7064
0.8079 0.5301 0.2483
0.8104 0.7234 0.9044
0.8796 0.9381 0.5152
0.9225 0.2242 0.4542
0.9564 0.2023 0.1869
0.9891 0.9414 0.1815
```

- calculated volume (Å³ per cell) = 488.4



c:
A geometry-optimized LiFe2B2O6 structure, computed with PBE with a Hubbard U.

```
LiFe2B2O6
1.0
5.2450 0.0000 0.0000
-2.6061 4.5917 0.0000
-0.0076 -0.2832 10.1319
Li Fe B O
2 4 4 12
Direct
0.0000 0.0000 0.0000
0.3334 0.3119 0.2783
0.3370 0.6633 0.5244
0.6623 0.3305 0.0296
0.6719 0.9785 0.2770
0.9916 0.6308 0.7775
0.0015 0.6492 0.2770
0.3368 0.6573 0.0273
0.6602 0.9769 0.7801
0.6667 0.3184 0.5242
0.0217 0.9160 0.2660
0.0942 0.6745 0.9773
0.2443 0.6281 0.3239
0.3138 0.3887 0.0436
0.3964 0.7592 0.7233
0.4412 0.3706 0.5020
0.5935 0.9114 0.0617
0.6473 0.0542 0.4886
0.6829 0.2421 0.8170
0.7457 0.3916 0.2411
0.8865 0.9246 0.8031
0.9328 0.5372 0.5801
```

- calculated volume (Å³ per cell) = 244.0



d:
A geometry-optimized LiFe2B2O6 structure, computed with PBE with a Hubbard U.

```
LiFe2B2O6
1.0
5.2406 0.0000 0.0000
0.1482 9.1545 0.0000
2.5347 4.4741 10.0900
Li Fe B O
4 8 8 24
Direct
0.0000 0.0000 0.0000
0.1915 0.2360 0.2515
0.4502 0.4662 0.7524
0.7192 0.7541 0.5009
0.2215 0.5776 0.2283
0.2503 0.9411 0.4737
0.4660 0.1458 0.7218
0.5177 0.8415 0.9761
0.7070 0.0647 0.2235
0.7310 0.4362 0.4741
0.9589 0.6581 0.7305
0.9895 0.3562 0.9778
0.0200 0.6905 0.9799
0.2180 0.9044 0.2195
0.2402 0.6176 0.4746
0.4611 0.8104 0.7213
0.4921 0.1866 0.9715
0.7183 0.4018 0.2222
0.7519 0.1012 0.4726
0.9526 0.3211 0.7267
0.0224 0.1040 0.4525
0.0479 0.4394 0.7701
0.0792 0.7251 0.5176
0.0940 0.1986 0.7308
0.1225 0.5334 0.4217
0.2275 0.8315 0.6755
0.2369 0.6539 0.0336
0.3211 0.0008 0.2732
0.3520 0.3197 0.9652
0.3697 0.7905 0.1930
0.3966 0.0711 0.9418
0.4551 0.4072 0.2260
0.4901 0.6059 0.4903
0.5419 0.9086 0.7694
0.6068 0.6852 0.7082
0.6110 0.2024 0.5166
0.6318 0.9899 0.4377
0.7145 0.3495 0.6902
0.7351 0.1757 0.0089
0.8515 0.4900 0.2667
0.8678 0.2962 0.1744
0.8908 0.8204 0.9720
0.9381 0.5870 0.9254
0.9770 0.9270 0.1949
```

- calculated volume (Å³ per cell) = 484.1



Q: Which of them is the most stable? A: c.



a:
A geometry-optimized Li5Fe6B6O18 structure, computed with PBE with a Hubbard U.

```
Li5Fe6B6O18
1.0
8.1968 -3.1178 0.0000
8.1968 3.1178 0.0000
-4.0931 0.0000 7.1605
Li Fe B O
5 6 6 18
Direct
0.0000 0.0000 0.0000
0.2929 0.2929 0.2668
0.5006 0.5006 0.0020
0.6591 0.6591 0.5869
0.7919 0.7919 0.2709
0.0860 0.5749 0.6461
0.2187 0.7314 0.3003
0.3894 0.9027 0.9093
0.5749 0.0860 0.6461
0.7314 0.2187 0.3003
0.9027 0.3894 0.9093
0.3205 0.3205 0.9602
0.4059 0.8979 0.2827
0.4843 0.4843 0.6221
0.8172 0.8172 0.9536
0.8979 0.4059 0.2827
0.9793 0.9793 0.6169
0.0156 0.0156 0.4980
0.0404 0.0404 0.8108
0.2242 0.2242 0.8857
0.3041 0.8031 0.1754
0.3603 0.3603 0.8455
0.3784 0.3784 0.1533
0.3870 0.3870 0.5462
0.4539 0.9542 0.1899
0.4634 0.9282 0.4725
0.5240 0.5240 0.5070
0.5426 0.5426 0.8161
0.7197 0.7197 0.8684
0.8031 0.3041 0.1754
0.8590 0.8590 0.8433
0.8717 0.8717 0.1470
0.8828 0.8828 0.5458
0.9282 0.4634 0.4725
0.9542 0.4539 0.1899
```

- calculated volume (Å³ per cell) = 366.0



b:
A geometry-optimized Li5Fe6B6O18 structure, computed with PBE with a Hubbard U.

```
Li5Fe6B6O18
1.0
7.8542 -4.5162 0.0000
7.8542 4.5162 0.0000
-4.8811 0.0000 10.2296
Li Fe B O
10 12 12 36
Direct
0.0945 0.5813 0.0032
0.2226 0.7380 0.7551
0.2360 0.7640 0.5000
0.4055 0.9011 0.2746
0.4296 0.9181 0.0084
0.5813 0.0945 0.5032
0.7380 0.2226 0.2551
0.7640 0.2360 0.0000
0.9011 0.4055 0.7746
0.9181 0.4296 0.5084
0.0716 0.2572 0.2824
0.1102 0.9297 0.0431
0.2572 0.0716 0.7824
0.2591 0.4307 0.5312
0.3931 0.5674 0.2841
0.4307 0.2591 0.0312
0.5674 0.3931 0.7841
0.5975 0.7558 0.5379
0.7558 0.5975 0.0379
0.7624 0.8965 0.2907
0.8965 0.7624 0.7907
0.9297 0.1102 0.5431
0.0780 0.9201 0.2972
0.0912 0.2724 0.0361
0.2331 0.4202 0.7936
0.2724 0.0912 0.5361
0.4202 0.2331 0.2936
0.4387 0.6026 0.0472
0.5759 0.7317 0.7927
0.6026 0.4387 0.5472
0.7317 0.5759 0.2927
0.7747 0.9300 0.0427
0.9201 0.0780 0.7972
0.9300 0.7747 0.5427
0.0008 0.4454 0.0248
0.0147 0.2011 0.0731
0.0240 0.9116 0.8274
0.0596 0.5083 0.8021
0.1092 0.6957 0.5596
0.1469 0.9901 0.2518
0.1656 0.2577 0.5083
0.1663 0.7533 0.3149
0.2011 0.0147 0.5731
0.2577 0.1656 0.0083
0.2596 0.3378 0.3282
0.3058 0.4946 0.7551
0.3378 0.2596 0.8282
0.3561 0.5302 0.0756
0.3695 0.7810 0.0596
0.4076 0.8240 0.8092
0.4454 0.0008 0.5248
0.4917 0.5995 0.5092
0.4946 0.3058 0.2551
0.5083 0.0596 0.3021
0.5302 0.3561 0.5756
0.5797 0.6898 0.3445
0.5995 0.4917 0.0092
0.6416 0.7833 0.7282
0.6898 0.5797 0.8445
0.6957 0.1092 0.0596
0.6983 0.8466 0.0708
0.7533 0.1663 0.8149
0.7810 0.3695 0.5596
0.7833 0.6416 0.2282
0.8240 0.4076 0.3092
0.8272 0.9303 0.5023
0.8466 0.6983 0.5708
0.9116 0.0240 0.3274
0.9303 0.8272 0.0023
0.9901 0.1469 0.7518
```

- calculated volume (Å³ per cell) = 725.7



Q: Which of them is the most stable? A: b.



a:
A geometry-optimized Mg14FeBO16 structure, computed with PBE with a Hubbard U.

```
Mg14FeBO16
1.0
8.5546 0.0000 0.0000
0.0000 8.5546 0.0000
0.0000 0.0000 4.2186
Mg Fe B O
14 1 1 16
Direct
0.0000 0.2467 0.0000
0.0000 0.5000 0.5000
0.0000 0.7533 0.0000
0.2457 0.2457 0.5000
0.2457 0.7543 0.5000
0.2467 0.0000 0.0000
0.2475 0.5000 0.0000
0.5000 0.0000 0.5000
0.5000 0.2475 0.0000
0.5000 0.7525 0.0000
0.7533 0.0000 0.0000
0.7525 0.5000 0.0000
0.7543 0.2457 0.5000
0.7543 0.7543 0.5000
0.5000 0.5000 0.5000
0.0000 0.0000 0.5000
0.0000 0.0000 0.0000
0.0000 0.2563 0.5000
0.0000 0.5000 0.0000
0.0000 0.7437 0.5000
0.2492 0.2492 0.0000
0.2492 0.7508 0.0000
0.2502 0.5000 0.5000
0.2563 0.0000 0.5000
0.5000 0.0000 0.0000
0.5000 0.2502 0.5000
0.5000 0.5000 0.0000
0.5000 0.7498 0.5000
0.7437 0.0000 0.5000
0.7498 0.5000 0.5000
0.7508 0.2492 0.0000
0.7508 0.7508 0.0000
```

- calculated volume (Å³ per cell) = 308.7



b:
A geometry-optimized Mg14FeBO16 structure, computed with PBE with a Hubbard U.

```
Mg14FeBO16
1.0
4.2869 0.0000 0.0000
0.0000 8.4577 0.0000
0.0000 0.0000 8.5634
Mg Fe B O
14 1 1 16
Direct
0.0000 0.0000 0.0000
0.0000 0.2432 0.2478
0.0000 0.2432 0.7522
0.0000 0.5000 0.0000
0.0000 0.7568 0.2478
0.0000 0.7568 0.7522
0.5000 0.0000 0.2524
0.5000 0.0000 0.7476
0.5000 0.2413 0.5000
0.5000 0.2500 0.0000
0.5000 0.5000 0.2549
0.5000 0.5000 0.7451
0.5000 0.7500 0.0000
0.5000 0.7587 0.5000
0.0000 0.5000 0.5000
0.0000 0.0000 0.5000
0.0000 0.0000 0.2358
0.0000 0.0000 0.7642
0.0000 0.1633 0.5000
0.0000 0.2541 0.0000
0.0000 0.5000 0.2541
0.0000 0.5000 0.7459
0.0000 0.7459 0.0000
0.0000 0.8367 0.5000
0.5000 0.0000 0.0000
0.5000 0.0000 0.5000
0.5000 0.2503 0.2538
0.5000 0.2503 0.7462
0.5000 0.5000 0.0000
0.5000 0.5000 0.5000
0.5000 0.7497 0.2538
0.5000 0.7497 0.7462
```

- calculated volume (Å³ per cell) = 310.5



Q: Which of them is the most stable? A: b.



a:
A geometry-optimized MnFeBO4 structure, computed with PBE with a Hubbard U.

```
MnFeBO4
1.0
9.5083 0.0000 0.0000
0.0000 3.2248 0.0000
-0.0969 0.0000 9.5362
Mn Fe B O
4 4 4 16
Direct
0.0000 0.0000 0.0000
0.2001 0.5000 0.6150
0.5003 0.0000 0.1230
0.7077 0.5000 0.4968
0.2152 0.5000 0.2451
0.4847 0.0000 0.7411
0.7188 0.5000 0.8791
0.9808 0.0000 0.3731
0.2663 0.5000 0.9366
0.4349 0.0000 0.4349
0.7734 0.5000 0.1838
0.9365 0.0000 0.6854
0.0792 0.0000 0.6843
0.0971 0.0000 0.1875
0.1130 0.5000 0.4209
0.1236 0.5000 0.9351
0.3402 0.5000 0.0630
0.3408 0.5000 0.8076
0.3572 0.0000 0.3086
0.3625 0.0000 0.5634
0.5770 0.0000 0.4339
0.5976 0.0000 0.9207
0.6072 0.5000 0.6960
0.6317 0.5000 0.1734
0.8433 0.5000 0.3118
0.8497 0.5000 0.0567
0.8581 0.0000 0.5622
0.8667 0.0000 0.8173
```

- calculated volume (Å³ per cell) = 292.4



b:
A geometry-optimized MnFeBO4 structure, computed with PBE with a Hubbard U.

```
MnFeBO4
1.0
9.6741 0.0000 0.0000
0.0000 3.2066 0.0000
0.0000 0.0000 9.5825
Mn Fe B O
4 4 4 16
Direct
0.1000 0.2500 0.1799
0.4000 0.7500 0.6799
0.6000 0.2500 0.3201
0.9000 0.7500 0.8201
0.1167 0.2500 0.5629
0.3833 0.7500 0.0629
0.6167 0.2500 0.9371
0.8833 0.7500 0.4371
0.1716 0.2500 0.8671
0.3284 0.7500 0.3671
0.6716 0.2500 0.6329
0.8284 0.7500 0.1329
0.0021 0.2500 0.3873
0.0317 0.2500 0.8738
0.2401 0.2500 0.7387
0.2494 0.2500 0.9921
0.2506 0.7500 0.4921
0.2599 0.7500 0.2387
0.4683 0.7500 0.3738
0.4979 0.7500 0.8873
0.5021 0.2500 0.1127
0.5317 0.2500 0.6262
0.7401 0.2500 0.7613
0.7494 0.2500 0.5079
0.7506 0.7500 0.0079
0.7599 0.7500 0.2613
0.9683 0.7500 0.1262
0.9979 0.7500 0.6127
```

- calculated volume (Å³ per cell) = 297.3



Q: Which of them is the most stable? A: b.